# 1
Ti3Be: relaxed, PBE.

It has space group P6_3/mmc (No. 194), with a = 5.5511 Å, b = 5.5511 Å, c = 4.4858 Å, α = 90.00°, β = 90.00° and γ = 120.00°. The distinct sites, in fractional coordinates, are Ti at (0.1742, 0.3484, 0.2500) and Be at (0.3333, 0.6667, 0.7500).

The value obtained for the raw total energy is -6.855 eV/atom. The total moment comes out at 1.586 μB per cell. The mass density comes out at 4.23 g cm⁻³.

# 2
Ti4Be: relaxed, PBE.

It has space group Fd-3m (No. 227, origin choice 2), with a = 8.867 Å, b = 8.867 Å, c = 8.867 Å, α = 90.00°, β = 90.00° and γ = 90.00°. The distinct sites, in fractional coordinates, are Ti at (0.017, 0.017, 0.233) and Be at (0.125, 0.125, 0.625).

The value obtained for the raw total energy is -6.384 eV/atom. The total moment comes out at 0.003 μB per cell. The mass density comes out at 3.82 g cm⁻³.

# 3
Ti3Be: relaxed, PBE.

It has space group I4/mmm (No. 139), with a = 3.850 Å, b = 3.850 Å, c = 8.026 Å, α = 90.00°, β = 90.00° and γ = 90.00°. The distinct sites, in fractional coordinates, are Ti at (0.000, 0.000, 0.000), Ti at (0.000, 0.500, 0.250) and Be at (0.000, 0.000, 0.500).

The value obtained for the raw total energy is -6.857 eV/atom. The total moment comes out at 0.002 μB per cell. The mass density comes out at 4.26 g cm⁻³.

# 4
Be22W: relaxed, PBE.

It has space group Fd-3m (No. 227, origin choice 2), with a = 11.564 Å, b = 11.564 Å, c = 11.564 Å, α = 90.00°, β = 90.00° and γ = 90.00°. The distinct sites, in fractional coordinates, are Be at (0.000, 0.000, 0.000), Be at (0.000, 0.000, 0.500), Be at (0.010, 0.375, 0.375), Be at (0.060, 0.060, 0.824) and W at (0.125, 0.125, 0.625).

The value obtained for the raw total energy is -4.181 eV/atom. The mass density comes out at 3.28 g cm⁻³.

# 5
Be2W: relaxed, PBE.

It has space group P6_3/mmc (No. 194), with a = 4.4604 Å, b = 4.4604 Å, c = 7.3336 Å, α = 90.00°, β = 90.00° and γ = 120.00°. The distinct sites, in fractional coordinates, are Be at (0.0000, 0.0000, 0.0000), Be at (0.1698, 0.3397, 0.2500) and W at (0.3333, 0.6667, 0.5623).

The value obtained for the raw total energy is -7.116 eV/atom. The mass density comes out at 10.61 g cm⁻³.

# 6
ZrBe5: relaxed, PBE.

It has space group P6/mmm (No. 191), with a = 4.5652 Å, b = 4.5652 Å, c = 3.4605 Å, α = 90.00°, β = 90.00° and γ = 120.00°. The distinct sites, in fractional coordinates, are Zr at (0.0000, 0.0000, 0.0000), Be at (0.0000, 0.5000, 0.5000) and Be at (0.3333, 0.6667, 0.0000).

The value obtained for the raw total energy is -4.782 eV/atom. The mass density comes out at 3.62 g cm⁻³.

# 7
ZrBe2: relaxed, PBE.

It has space group P6/mmm (No. 191), with a = 3.8221 Å, b = 3.8221 Å, c = 3.2375 Å, α = 90.00°, β = 90.00° and γ = 120.00°. The distinct sites, in fractional coordinates, are Zr at (0.0000, 0.0000, 0.0000) and Be at (0.3333, 0.6667, 0.5000).

The value obtained for the raw total energy is -5.506 eV/atom. The mass density comes out at 4.43 g cm⁻³.

# 8
Zr2Be17: relaxed, PBE.

It has space group R-3m (No. 166, hexagonal axes), with a = 7.5157 Å, b = 7.5157 Å, c = 10.9705 Å, α = 90.00°, β = 90.00° and γ = 120.00°. The distinct sites, in fractional coordinates, are Zr at (0.0000, 0.0000, 0.1626), Be at (0.0000, 0.0000, 0.4035), Be at (0.0000, 0.2867, 0.5000), Be at (0.0000, 0.5000, 0.0000) and Be at (0.0016, 0.5008, 0.6579).

The value obtained for the raw total energy is -4.483 eV/atom. The mass density comes out at 3.12 g cm⁻³.